# MgAg6Mo10O33

Crystalline MgAg6Mo10O33 at its relaxed geometry (GGA+U, the Materials Project database).

Properties
DFT formation energy: -1.680 eV per atom
VASP energy: -6.393 eV/atom
Polymorph energy (0 for the lowest one): 0 meV per atom

Structure (CIF):
```
data_MgAg6Mo10O33
_symmetry_space_group_name_H-M 'P 1'
_symmetry_Int_Tables_number 1
_cell_length_a 7.758
_cell_length_b 8.714
_cell_length_c 11.691
_cell_angle_alpha 77.31
_cell_angle_beta 76.53
_cell_angle_gamma 74.98
loop_
_symmetry_equiv_pos_as_xyz
'x,y,z'
loop_
_atom_site_label
_atom_site_fract_x
_atom_site_fract_y
_atom_site_fract_z
Mg1 0.000 0.000 0.000
Ag1 0.382 0.747 0.896
Ag2 0.489 0.389 0.941
Ag3 0.589 0.037 0.983
Ag4 0.637 0.813 0.437
Ag5 0.800 0.395 0.440
Ag6 0.943 0.954 0.504
Mo1 0.092 0.618 0.175
Mo2 0.201 0.167 0.219
Mo3 0.278 0.579 0.642
Mo4 0.333 0.389 0.371
Mo5 0.449 0.170 0.673
Mo6 0.593 0.623 0.167
Mo7 0.699 0.183 0.225
Mo8 0.842 0.583 0.701
Mo9 0.958 0.408 0.014
Mo10 0.984 0.206 0.734
O1 0.028 0.712 0.647
O2 0.036 0.230 0.944
O3 0.096 0.403 0.690
O4 0.117 0.389 0.313
O5 0.130 0.776 0.032
O6 0.164 0.028 0.350
O7 0.176 0.412 0.066
O8 0.239 0.083 0.720
O9 0.255 0.547 0.455
O10 0.294 0.052 0.105
O11 0.308 0.561 0.790
O12 0.353 0.567 0.199
O13 0.355 0.220 0.486
O14 0.392 0.730 0.565
O15 0.427 0.220 0.234
O16 0.472 0.385 0.608
O17 0.487 0.166 0.817
O18 0.561 0.741 0.276
O19 0.566 0.762 0.034
O20 0.596 0.393 0.316
O21 0.632 0.030 0.613
O22 0.646 0.711 0.768
O23 0.697 0.401 0.075
O24 0.731 0.048 0.358
O25 0.763 0.054 0.104
O26 0.776 0.377 0.783
O27 0.797 0.584 0.559
O28 0.860 0.573 0.140
O29 0.911 0.043 0.842
O30 0.932 0.559 0.888
O31 0.933 0.191 0.598
O32 0.955 0.230 0.189
O33 0.976 0.728 0.286
```